Entry 1:
Below is a relaxed Li5Fe2P2C2O14 crystal, with properties calculated at the PBE with a Hubbard U level.

Cell lengths 8.1879, 8.2798, 8.4616 Å; angles 92.80, 94.04, 104.16 degrees
Fractional coordinates of all 50 atoms:
Li1 0.7398 0.4962 0.0993
Li2 0.2495 0.9759 0.0954
Li3 0.8895 0.8519 0.2719
Li4 0.5918 0.1112 0.2741
Li5 0.3833 0.3631 0.2778
Li6 0.4082 0.8888 0.7259
Li7 0.6167 0.6369 0.7222
Li8 0.1105 0.1481 0.7281
Li9 0.2602 0.5038 0.9007
Li10 0.7505 0.0241 0.9046
Fe1 0.4701 0.7250 0.3205
Fe2 0.9773 0.2322 0.3426
Fe3 0.0227 0.7678 0.6574
Fe4 0.5299 0.2750 0.6795
P1 0.7559 0.5172 0.4143
P2 0.2621 0.0160 0.4178
P3 0.7379 0.9840 0.5822
P4 0.2441 0.4828 0.5857
C1 0.5267 0.7804 0.0274
C2 0.0386 0.2634 0.0526
C3 0.9614 0.7366 0.9474
C4 0.4733 0.2196 0.9726
O1 0.4054 0.6572 0.0592
O2 0.9012 0.1549 0.0829
O3 0.9154 0.7103 0.0858
O4 0.6153 0.8774 0.1456
O5 0.4382 0.1894 0.1170
O6 0.1292 0.3466 0.1785
O7 0.6240 0.5561 0.2901
O8 0.8167 0.3772 0.3222
O9 0.3215 0.8919 0.3076
O10 0.1011 0.0453 0.3251
O11 0.9044 0.6794 0.4475
O12 0.7837 0.0533 0.4183
O13 0.3140 0.5328 0.4289
O14 0.4041 0.1795 0.4455
O15 0.5959 0.8205 0.5545
O16 0.6860 0.4672 0.5711
O17 0.2163 0.9467 0.5817
O18 0.0956 0.3206 0.5525
O19 0.8989 0.9547 0.6749
O20 0.1833 0.6228 0.6778
O21 0.6785 0.1081 0.6924
O22 0.3760 0.4439 0.7099
O23 0.8708 0.6534 0.8215
O24 0.5618 0.8106 0.8830
O25 0.3847 0.1226 0.8544
O26 0.0846 0.2897 0.9142
O27 0.5946 0.3428 0.9408
O28 0.0988 0.8451 0.9171

Values from the calculation:
ΔE_f (kJ per mole of atoms): -223.0
Distance to the lowest polymorph of the same formula (meV per atom): 3.3

Entry 2:
Below is a relaxed Sr2Cu2NiO7 crystal, with properties calculated at the PBE with a Hubbard U level.

Cell lengths 13.0790, 13.0790, 13.0790 Å; angles 157.38, 157.09, 32.42 degrees
Fractional coordinates of all 24 atoms:
Sr1 0.1463 0.6286 0.4727
Sr2 0.8537 0.3263 0.4823
Sr3 0.6559 0.1286 0.4823
Sr4 0.3441 0.8263 0.4727
Cu1 0.0603 0.0384 0.9791
Cu2 0.9397 0.9188 0.9781
Cu3 0.5593 0.5384 0.9781
Cu4 0.4407 0.4188 0.9791
Ni1 0.6774 0.7816 0.9590
Ni2 0.3226 0.2816 0.1043
O1 0.3366 0.6476 0.4842
O2 0.6634 0.1476 0.3110
O3 0.8256 0.3044 0.9787
O4 0.1744 0.1530 0.4788
O5 0.8258 0.8044 0.4788
O6 0.1742 0.6530 0.9787
O7 0.3253 0.8049 0.9769
O8 0.6747 0.6515 0.4796
O9 0.3281 0.3049 0.4796
O10 0.6719 0.1515 0.9769
O11 0.6984 0.6491 0.9852
O12 0.3016 0.2868 0.9507
O13 0.1639 0.1491 0.9507
O14 0.8361 0.7868 0.9852

Values from the calculation:
ΔE_f (kJ per mole of atoms): -145.8

Entry 3:
Below is a relaxed Li4Cr3NiO8 crystal, with properties calculated at the PBE with a Hubbard U level.

Cell lengths 5.1264, 5.8907, 10.6223 Å; angles 105.96, 94.54, 106.91 degrees
Fractional coordinates of all 32 atoms:
Li1 0.0000 0.5000 0.0000
Li2 0.0006 0.8685 0.7542
Li3 0.9994 0.1315 0.2458
Li4 0.0004 0.7501 0.5000
Li5 0.0000 0.0000 0.0000
Li6 0.0040 0.3809 0.7508
Li7 0.9960 0.6191 0.2492
Li8 0.9996 0.2499 0.5000
Cr1 0.5010 0.9392 0.3738
Cr2 0.5010 0.1902 0.8776
Cr3 0.5005 0.5631 0.6268
Cr4 0.4990 0.8098 0.1224
Cr5 0.4995 0.4369 0.3733
Cr6 0.4990 0.0608 0.6262
Ni1 0.4992 0.6877 0.8748
Ni2 0.5008 0.3123 0.1252
O1 0.2757 0.0984 0.4393
O2 0.7303 0.2774 0.3156
O3 0.2773 0.3469 0.9357
O4 0.7328 0.5212 0.8079
O5 0.7243 0.9016 0.5607
O6 0.2697 0.7226 0.6844
O7 0.2793 0.9706 0.1892
O8 0.7330 0.1457 0.0565
O9 0.2789 0.5990 0.4400
O10 0.7243 0.7767 0.3089
O11 0.2670 0.8543 0.9435
O12 0.7207 0.0294 0.8108
O13 0.2757 0.2233 0.6911
O14 0.2672 0.4788 0.1921
O15 0.7211 0.4010 0.5600
O16 0.7227 0.6531 0.0643

Values from the calculation:
ΔE_f (kJ per mole of atoms): -117.2
Distance to the lowest polymorph of the same formula (meV per atom): 970.7

Entry 4:
Below is a relaxed LiVPO5 crystal, with properties calculated at the PBE with a Hubbard U level.

Cell lengths 5.9733, 10.2788, 8.7357 Å; angles 115.50, 69.83, 106.86 degrees
Fractional coordinates of all 32 atoms:
Li1 0.8780 0.3924 0.6689
Li2 0.8472 0.8902 0.1651
Li3 0.1246 0.6087 0.3322
Li4 0.1514 0.1102 0.8356
V1 0.2122 0.7505 0.7502
V2 0.7882 0.2500 0.2490
V3 0.2420 0.2463 0.2526
V4 0.7550 0.7514 0.7485
P1 0.3533 0.7228 0.0018
P2 0.3696 0.2219 0.5027
P3 0.6448 0.2771 0.9981
P4 0.6322 0.7780 0.4972
O1 0.9656 0.6128 0.7231
O2 0.9295 0.1112 0.2195
O3 0.0335 0.3872 0.2760
O4 0.0724 0.8882 0.7781
O5 0.4082 0.6305 0.7928
O6 0.4301 0.1272 0.2953
O7 0.5890 0.3679 0.2077
O8 0.5700 0.8716 0.7053
O9 0.2369 0.6414 0.1215
O10 0.2796 0.1436 0.6256
O11 0.7627 0.3599 0.8800
O12 0.7202 0.8580 0.3761
O13 0.1857 0.8201 0.0038
O14 0.1873 0.3116 0.5118
O15 0.6148 0.8096 0.0124
O16 0.6323 0.3188 0.5038
O17 0.3845 0.1905 0.9867
O18 0.3696 0.6808 0.4956
O19 0.8133 0.1800 0.9957
O20 0.8163 0.6896 0.4873

Values from the calculation:
ΔE_f (kJ per mole of atoms): -248.2
Distance to the lowest polymorph of the same formula (meV per atom): 94.2

Entry 5:
Below is a relaxed LiVP2H2O8 crystal, with properties calculated at the PBE with a Hubbard U level.

Cell lengths 9.5069, 9.5069, 8.8524 Å; angles 73.09, 73.09, 115.24 degrees
Fractional coordinates of all 56 atoms:
Li1 0.8683 0.2164 0.3544
Li2 0.4027 0.7885 0.3089
Li3 0.2164 0.8683 0.8544
Li4 0.7885 0.4027 0.8089
V1 0.3637 0.5841 0.0404
V2 0.5841 0.3637 0.5404
V3 0.1368 0.8574 0.5076
V4 0.8574 0.1368 0.0076
P1 0.1578 0.1524 0.1552
P2 0.0352 0.5803 0.3186
P3 0.1524 0.1578 0.6552
P4 0.5665 0.1837 0.2551
P5 0.5803 0.0352 0.8186
P6 0.1837 0.5665 0.7551
P7 0.6525 0.6949 0.1850
P8 0.6949 0.6525 0.6850
H1 0.4900 0.3309 0.0934
H2 0.2197 0.3491 0.3971
H3 0.3309 0.4900 0.5934
H4 0.3491 0.2197 0.8971
H5 0.9126 0.6826 0.1909
H6 0.8594 0.8758 0.4162
H7 0.6826 0.9126 0.6909
H8 0.8758 0.8594 0.9162
O1 0.0036 0.1631 0.1453
O2 0.2442 0.1116 0.0059
O3 0.0804 0.9920 0.3366
O4 0.3999 0.9984 0.3283
O5 0.3061 0.3262 0.1294
O6 0.1631 0.0036 0.6453
O7 0.1116 0.2442 0.5059
O8 0.0324 0.7043 0.1512
O9 0.9920 0.0804 0.8366
O10 0.1241 0.4953 0.2440
O11 0.5946 0.3201 0.0747
O12 0.7326 0.1790 0.2015
O13 0.5506 0.2496 0.3911
O14 0.9984 0.3999 0.8283
O15 0.1409 0.6960 0.3862
O16 0.3262 0.3061 0.6294
O17 0.4637 0.5809 0.2128
O18 0.7043 0.0324 0.6512
O19 0.4953 0.1241 0.7440
O20 0.3201 0.5946 0.5747
O21 0.7996 0.7315 0.0089
O22 0.1790 0.7326 0.7015
O23 0.6794 0.5980 0.3340
O24 0.2496 0.5506 0.8911
O25 0.6960 0.1409 0.8862
O26 0.8423 0.4328 0.4639
O27 0.5809 0.4637 0.7128
O28 0.6799 0.8719 0.1707
O29 0.7315 0.7996 0.5089
O30 0.5980 0.6794 0.8340
O31 0.4328 0.8423 0.9639
O32 0.8719 0.6799 0.6707

Values from the calculation:
ΔE_f (kJ per mole of atoms): -231.5
Distance to the lowest polymorph of the same formula (meV per atom): 15.2

Entry 6:
Below is a relaxed Na2FePO4F crystal, with properties calculated at the PBE with a Hubbard U level.

Cell lengths 5.2810, 11.9542, 14.0417 Å; angles 90.00, 90.00, 90.00 degrees
Fractional coordinates of all 72 atoms:
Na1 0.2637 0.3282 0.7552
Na2 0.2363 0.8282 0.7448
Na3 0.7637 0.6718 0.7448
Na4 0.7363 0.1718 0.7552
Na5 0.7363 0.6718 0.2448
Na6 0.7637 0.1718 0.2552
Na7 0.2363 0.3282 0.2552
Na8 0.2637 0.8282 0.2448
Na9 0.2392 0.0834 0.8752
Na10 0.2608 0.5834 0.6248
Na11 0.7392 0.9166 0.6248
Na12 0.7608 0.4166 0.8752
Na13 0.7608 0.9166 0.1248
Na14 0.7392 0.4166 0.3752
Na15 0.2608 0.0834 0.3752
Na16 0.2392 0.5834 0.1248
Fe1 0.2277 0.3257 0.9902
Fe2 0.2723 0.8257 0.5098
Fe3 0.7277 0.6743 0.5098
Fe4 0.7723 0.1743 0.9902
Fe5 0.7723 0.6743 0.0098
Fe6 0.7277 0.1743 0.4902
Fe7 0.2723 0.3257 0.4902
Fe8 0.2277 0.8257 0.0098
P1 0.2035 0.0870 0.6192
P2 0.2965 0.5870 0.8808
P3 0.7035 0.9130 0.8808
P4 0.7965 0.4130 0.6192
P5 0.7965 0.9130 0.3808
P6 0.7035 0.4130 0.1192
P7 0.2965 0.0870 0.1192
P8 0.2035 0.5870 0.3808
O1 0.2669 0.9603 0.6124
O2 0.2331 0.4603 0.8876
O3 0.7669 0.0397 0.8876
O4 0.7331 0.5397 0.6124
O5 0.7331 0.0397 0.3876
O6 0.7669 0.5397 0.1124
O7 0.2331 0.9603 0.1124
O8 0.2669 0.4603 0.3876
O9 0.2852 0.1334 0.7166
O10 0.2148 0.6334 0.7834
O11 0.7852 0.8666 0.7834
O12 0.7148 0.3666 0.7166
O13 0.7148 0.8666 0.2834
O14 0.7852 0.3666 0.2166
O15 0.2148 0.1334 0.2166
O16 0.2852 0.6334 0.2834
O17 0.9087 0.1026 0.6056
O18 0.5913 0.6026 0.8944
O19 0.4087 0.8974 0.8944
O20 0.0913 0.3974 0.6056
O21 0.0913 0.8974 0.3944
O22 0.4087 0.3974 0.1056
O23 0.5913 0.1026 0.1056
O24 0.9087 0.6026 0.3944
O25 0.3390 0.1511 0.5364
O26 0.1610 0.6511 0.9636
O27 0.8390 0.8489 0.9636
O28 0.6610 0.3489 0.5364
O29 0.6610 0.8489 0.4636
O30 0.8390 0.3489 0.0364
O31 0.1610 0.1511 0.0364
O32 0.3390 0.6511 0.4636
F1 0.0000 0.2500 0.8759
F2 0.5000 0.7500 0.6241
F3 0.0000 0.7500 0.1241
F4 0.5000 0.2500 0.3759
F5 0.5000 0.2500 0.8988
F6 0.0000 0.7500 0.6012
F7 0.5000 0.7500 0.1012
F8 0.0000 0.2500 0.3988

Values from the calculation:
ΔE_f (kJ per mole of atoms): -245.2

Entry 7:
Below is a relaxed CoH12Cl2O6 crystal, with properties calculated at the PBE with a Hubbard U level.

Cell lengths 6.2910, 9.7717, 6.9330 Å; angles 88.50, 94.94, 84.01 degrees
Fractional coordinates of all 42 atoms:
Co1 0.5000 0.5000 0.5000
Co2 0.0000 0.0000 0.0000
H1 0.4979 0.3172 0.1302
H2 0.9963 0.8161 0.6310
H3 0.5021 0.6828 0.8698
H4 0.0037 0.1839 0.3690
H5 0.4842 0.7815 0.0484
H6 0.9852 0.2817 0.5488
H7 0.5158 0.2185 0.9516
H8 0.0148 0.7183 0.4512
H9 0.6332 0.5701 0.1565
H10 0.1329 0.0693 0.6545
H11 0.8257 0.7612 0.9598
H12 0.3243 0.2616 0.4653
H13 0.3668 0.4299 0.8435
H14 0.8671 0.9307 0.3455
H15 0.1743 0.2388 0.0402
H16 0.6757 0.7384 0.5347
H17 0.0636 0.7234 0.0521
H18 0.5647 0.2242 0.5521
H19 0.8350 0.4941 0.2818
H20 0.3341 0.9926 0.7801
H21 0.9364 0.2766 0.9479
H22 0.4353 0.7758 0.4479
H23 0.1650 0.5059 0.7182
H24 0.6659 0.0074 0.2199
Cl1 0.1631 0.5624 0.2876
Cl2 0.6646 0.0625 0.7865
Cl3 0.8369 0.4376 0.7124
Cl4 0.3354 0.9375 0.2135
O1 0.4224 0.2927 0.0083
O2 0.9217 0.7928 0.5080
O3 0.5776 0.7073 0.9917
O4 0.0783 0.2072 0.4920
O5 0.6778 0.4948 0.2568
O6 0.1768 0.9945 0.7560
O7 0.9743 0.7890 0.9598
O8 0.4727 0.2898 0.4619
O9 0.3222 0.5052 0.7432
O10 0.8232 0.0055 0.2440
O11 0.0257 0.2110 0.0402
O12 0.5273 0.7102 0.5381

Values from the calculation:
ΔE_f (kJ per mole of atoms): -115.5

Entry 8:
Below is a relaxed Li4Fe3TeO12 crystal, with properties calculated at the PBE with a Hubbard U level.

Cell lengths 8.3408, 4.9490, 5.0349 Å; angles 88.97, 90.00, 90.00 degrees
Fractional coordinates of all 20 atoms:
Li1 0.6996 0.0000 0.0000
Li2 0.8019 0.5000 0.0000
Li3 0.3269 0.0000 0.5000
Li4 0.2096 0.5000 0.5000
Fe1 0.4192 0.5000 0.0000
Fe2 0.9023 0.0000 0.5000
Fe3 0.6018 0.5000 0.5000
Te1 0.1044 0.0000 0.0000
O1 0.2592 0.2436 0.1597
O2 0.5897 0.3052 0.1817
O3 0.9247 0.1993 0.1752
O4 0.4289 0.6926 0.3142
O5 0.0859 0.7921 0.3238
O6 0.7493 0.7513 0.3514
O7 0.7493 0.2487 0.6486
O8 0.0859 0.2079 0.6762
O9 0.4289 0.3074 0.6858
O10 0.9247 0.8007 0.8248
O11 0.5897 0.6948 0.8183
O12 0.2592 0.7564 0.8403

Values from the calculation:
ΔE_f (kJ per mole of atoms): -152.4

Entry 9:
Below is a relaxed MgCoSi4O10 crystal, with properties calculated at the PBE with a Hubbard U level.

Cell lengths 7.3134, 7.3134, 14.9250 Å; angles 90.00, 90.00, 90.00 degrees
Fractional coordinates of all 64 atoms:
Mg1 0.2500 0.7500 0.5000
Mg2 0.7500 0.2500 0.5000
Mg3 0.7500 0.2500 0.0000
Mg4 0.2500 0.7500 0.0000
Co1 0.2500 0.2500 0.5712
Co2 0.7500 0.7500 0.9288
Co3 0.7500 0.7500 0.4288
Co4 0.2500 0.2500 0.0712
Si1 0.9138 0.4921 0.6448
Si2 0.5862 0.0079 0.6448
Si3 0.9921 0.4138 0.8552
Si4 0.4921 0.5862 0.6448
Si5 0.0079 0.9138 0.6448
Si6 0.0862 0.9921 0.8552
Si7 0.4138 0.5079 0.8552
Si8 0.5079 0.0862 0.8552
Si9 0.0862 0.5079 0.3552
Si10 0.4138 0.9921 0.3552
Si11 0.0079 0.5862 0.1448
Si12 0.5079 0.4138 0.3552
Si13 0.9921 0.0862 0.3552
Si14 0.9138 0.0079 0.1448
Si15 0.5862 0.4921 0.1448
Si16 0.4921 0.9138 0.1448
O1 0.9847 0.3370 0.5757
O2 0.5153 0.1630 0.5757
O3 0.8370 0.4847 0.9243
O4 0.3370 0.5153 0.5757
O5 0.1630 0.9847 0.5757
O6 0.0153 0.8370 0.9243
O7 0.4847 0.6630 0.9243
O8 0.6630 0.0153 0.9243
O9 0.0153 0.6630 0.4243
O10 0.4847 0.8370 0.4243
O11 0.1630 0.5153 0.0757
O12 0.6630 0.4847 0.4243
O13 0.8370 0.0153 0.4243
O14 0.9847 0.1630 0.0757
O15 0.5153 0.3370 0.0757
O16 0.0006 0.3061 0.3757
O17 0.3370 0.9847 0.0757
O18 0.5006 0.8061 0.6243
O19 0.1939 0.4994 0.8757
O20 0.6939 0.5006 0.6243
O21 0.8061 0.9994 0.6243
O22 0.0006 0.1939 0.8757
O23 0.4994 0.3061 0.8757
O24 0.3061 0.0006 0.8757
O25 0.4477 0.9477 0.2500
O26 0.5523 0.4477 0.2500
O27 0.9477 0.0523 0.2500
O28 0.0523 0.5523 0.2500
O29 0.5523 0.0523 0.7500
O30 0.4477 0.5523 0.7500
O31 0.0523 0.9477 0.7500
O32 0.9477 0.4477 0.7500
O33 0.6939 0.9994 0.1243
O34 0.5006 0.6939 0.1243
O35 0.9994 0.8061 0.1243
O36 0.1939 0.0006 0.3757
O37 0.3061 0.4994 0.3757
O38 0.8061 0.5006 0.1243
O39 0.4994 0.1939 0.3757
O40 0.9994 0.6939 0.6243

Values from the calculation:
ΔE_f (kJ per mole of atoms): -282.3

For the records above, the corresponding M_tot values read 9.000 3.171 0.628 1.000 2.000 4.000 0.000 10.000 2.982 μB per formula unit.